(1)
CaSnGe2O6: optimized geometry, GGA-PBE.

abc: 10.1400 5.5424 10.8033
angles: 78.37 90.00 90.00
Sites, in units of the cell vectors:
O 0.6111 0.6511 0.6187
O 0.3979 0.1542 0.1177
O 0.3889 0.3489 0.3813
O 0.2088 0.4319 0.9142
O 0.4772 0.1446 0.6363
O 0.1111 0.8489 0.3813
Ca 0.0661 0.2570 0.7498
O 0.4649 0.3602 0.8532
Sn 0.8664 0.7557 0.7512
Ge 0.3480 0.2150 0.9618
O 0.2841 0.5534 0.5952
Ge 0.8483 0.2166 0.4600
O 0.8889 0.1511 0.6187
O 0.5228 0.8554 0.3637
O 0.6021 0.8458 0.8823
Ge 0.8480 0.2850 0.0382
O 0.7088 0.0681 0.0858
Ca 0.5661 0.2430 0.2502
Ge 0.1517 0.7834 0.5400
O 0.2912 0.9319 0.9142
Sn 0.1336 0.2443 0.2488
O 0.0351 0.8602 0.8532
O 0.9772 0.3554 0.3637
Sn 0.6336 0.2557 0.7512
Ge 0.1520 0.7150 0.9618
Ge 0.6520 0.7850 0.0382
O 0.9649 0.1398 0.1468
O 0.2159 0.0534 0.5952
O 0.5351 0.6398 0.1468
Ge 0.6517 0.7166 0.4600
O 0.8979 0.3458 0.8823
Sn 0.3664 0.7443 0.2488
O 0.7841 0.9466 0.4048
Ge 0.3483 0.2834 0.5400
O 0.1021 0.6542 0.1177
Ca 0.4339 0.7570 0.7498
O 0.0228 0.6446 0.6363
O 0.7159 0.4466 0.4048
Ca 0.9339 0.7430 0.2502
O 0.7912 0.5681 0.0858

**E_form**: -2.274 eV/atom
**Calculated volume**: 14.87 Å³ per atom
**Polymorph energy (0 for the lowest one)**: 0 meV per atom

=====

(2)
Na2B5H5O11: optimized geometry, GGA-PBE.

abc: 6.5711 11.2727 12.1197
angles: 90.00 90.00 90.00
Sites, in units of the cell vectors:
O 0.9842 0.5506 0.6016
Na 0.4675 0.1779 0.2485
O 0.5750 0.0576 0.0856
B 0.9639 0.7137 0.7967
O 0.7125 0.3102 0.9759
H 0.2015 0.1633 0.4214
H 0.1688 0.2687 0.9736
O 0.7875 0.3102 0.4759
O 0.3412 0.1952 0.4308
O 0.3188 0.2904 0.6662
B 0.5178 0.0077 0.7820
O 0.3462 0.7547 0.2608
O 0.4233 0.0949 0.7058
O 0.7949 0.9556 0.9581
O 0.4842 0.0506 0.8984
O 0.2662 0.4890 0.2378
O 0.4296 0.9509 0.3271
O 0.5767 0.5949 0.2942
H 0.1637 0.7545 0.4689
H 0.7949 0.2664 0.4062
H 0.2985 0.1633 0.9214
O 0.5158 0.5506 0.1016
O 0.9079 0.3947 0.7363
H 0.3312 0.2687 0.4736
B 0.0178 0.5077 0.7180
O 0.2338 0.4890 0.7378
O 0.4250 0.5576 0.9144
O 0.6538 0.2547 0.7392
H 0.6637 0.2545 0.0311
O 0.7338 0.9890 0.7622
O 0.0750 0.5576 0.4144
H 0.8391 0.0206 0.6465
O 0.8462 0.2547 0.2392
O 0.7051 0.9556 0.4581
O 0.0767 0.0949 0.2058
B 0.8508 0.9215 0.8425
B 0.0361 0.2137 0.2033
B 0.1492 0.4215 0.1575
B 0.3508 0.4215 0.6575
O 0.6588 0.6952 0.5692
B 0.6492 0.9215 0.3425
O 0.2125 0.8102 0.5241
O 0.0704 0.9509 0.8271
O 0.9233 0.5949 0.7942
B 0.7912 0.3730 0.2152
H 0.3363 0.7545 0.9689
H 0.8363 0.2545 0.5311
H 0.6609 0.0206 0.1465
O 0.7662 0.9890 0.2622
B 0.5361 0.7137 0.2967
H 0.7985 0.6633 0.5786
O 0.0921 0.8947 0.2637
B 0.7088 0.3730 0.7152
B 0.2088 0.8730 0.7848
B 0.4639 0.2137 0.7033
Na 0.3587 0.0031 0.5264
Na 0.9675 0.6779 0.2515
Na 0.0325 0.1779 0.7485
O 0.5921 0.3947 0.2363
B 0.1203 0.5188 0.5201
H 0.7015 0.6633 0.0786
H 0.1609 0.5206 0.3535
O 0.1588 0.1952 0.9308
O 0.2949 0.4556 0.5419
H 0.2051 0.7664 0.5938
O 0.1538 0.7547 0.7608
O 0.0158 0.0506 0.3984
B 0.4822 0.5077 0.2180
H 0.2949 0.7664 0.0938
B 0.3797 0.5188 0.0201
O 0.5704 0.4509 0.6729
O 0.9250 0.0576 0.5856
Na 0.1413 0.0031 0.0264
H 0.7051 0.2664 0.9062
O 0.2875 0.8102 0.0241
O 0.4079 0.8947 0.7637
B 0.6203 0.0188 0.9799
O 0.1812 0.2904 0.1662
O 0.8412 0.6952 0.0692
H 0.3391 0.5206 0.8535
O 0.9296 0.4509 0.1729
B 0.9822 0.0077 0.2820
O 0.6812 0.7904 0.3338
H 0.6688 0.7687 0.5264
Na 0.5325 0.6779 0.7515
Na 0.6413 0.5031 0.4736
O 0.2051 0.4556 0.0419
B 0.8797 0.0188 0.4799
O 0.8188 0.7904 0.8338
B 0.2912 0.8730 0.2848
Na 0.8587 0.5031 0.9736
H 0.8312 0.7687 0.0264

**E_form**: -2.278 eV/atom
**Calculated volume**: 9.76 Å³ per atom

=====

(3)
NdSe2: optimized geometry, GGA-PBE.

abc: 4.2004 8.4436 8.5524
angles: 89.80 90.00 90.00
Sites, in units of the cell vectors:
Se 0.2431 0.1253 0.3678
Se 0.8147 0.6189 0.9979
Se 0.6853 0.1189 0.9979
Nd 0.7227 0.3733 0.2746
Nd 0.2773 0.6267 0.7254
Nd 0.7773 0.8733 0.2746
Se 0.7431 0.3747 0.6322
Se 0.1853 0.3811 0.0021
Se 0.3147 0.8811 0.0021
Se 0.7569 0.8747 0.6322
Nd 0.2227 0.1267 0.7254
Se 0.2569 0.6253 0.3678

**E_form**: -1.940 eV/atom
**Calculated volume**: 25.28 Å³ per atom

=====

(4)
TiBi2O6: optimized geometry, GGA-PBE.

abc: 3.7172 3.7172 9.0784
angles: 90.00 90.00 90.00
Sites, in units of the cell vectors:
O 0.0000 0.5000 0.8628
O 0.5000 0.0000 0.8628
O 0.5000 0.5000 0.6028
Ti 0.5000 0.5000 0.7939
Bi 0.0000 0.0000 0.0422
O 0.0000 0.5000 0.3163
O 0.5000 0.0000 0.3163
Bi 0.0000 0.0000 0.4538
O 0.5000 0.5000 0.0782

**E_form**: -1.835 eV/atom
**Calculated volume**: 13.94 Å³ per atom

=====

(5)
SrIn4Ir: optimized geometry, GGA-PBE.

abc: 4.4227 7.7680 8.7652
angles: 90.00 90.00 90.00
Sites, in units of the cell vectors:
In 0.5000 0.0574 0.2500
In 0.5000 0.9426 0.7500
In 0.5000 0.3085 0.5672
In 0.0000 0.0000 0.0000
In 0.5000 0.3085 0.9328
Ir 0.0000 0.1883 0.7500
In 0.0000 0.0000 0.5000
In 0.5000 0.6915 0.0672
In 0.5000 0.6915 0.4328
Ir 0.0000 0.8117 0.2500
Sr 0.0000 0.3952 0.2500
Sr 0.0000 0.6048 0.7500

**E_form**: -0.346 eV/atom
**Calculated volume**: 25.09 Å³ per atom

=====

(6)
Tc3P: optimized geometry, GGA-PBE.

abc: 7.1859 7.1859 7.1859
angles: 96.56 96.56 140.48
Sites, in units of the cell vectors:
Tc 0.6558 0.0070 0.6539
Tc 0.9124 0.9071 0.4084
P 0.5030 0.7911 0.2940
Tc 0.3531 0.0020 0.3461
Tc 0.4960 0.0876 0.9946
Tc 0.2918 0.2925 0.1971
Tc 0.9053 0.7082 0.0006
P 0.2089 0.5029 0.7119
Tc 0.0929 0.5014 0.0054
Tc 0.9980 0.3442 0.3512
Tc 0.4986 0.5040 0.5916
Tc 0.0954 0.0947 0.8029
Tc 0.7075 0.9046 0.9994
Tc 0.9930 0.6469 0.6488
P 0.4971 0.2090 0.7060
P 0.7910 0.4970 0.2881

**E_form**: -0.346 eV/atom
**Calculated volume**: 13.89 Å³ per atom

=====

(7)
Rb3Hf: optimized geometry, GGA-PBE.

abc: 6.8940 6.8940 6.8940
angles: 120.07 120.07 89.89
Sites, in units of the cell vectors:
Hf 0.0000 0.0000 0.0000
Rb 0.2500 0.7500 0.5000
Rb 0.7500 0.2500 0.5000
Rb 0.5000 0.5000 0.0000

**E_form**: 1.168 eV/atom
**Calculated volume**: 57.86 Å³ per atom
**Polymorph energy (0 for the lowest one)**: 0 meV per atom

=====

(8)
LiLuSn: optimized geometry, GGA-PBE.

abc: 9.2794 9.2794 7.1314
angles: 90.00 90.00 120.00
Sites, in units of the cell vectors:
Sn 0.3333 0.6667 0.2648
Lu 0.9731 0.4865 0.4948
Li 0.8347 0.6695 0.7883
Lu 0.4865 0.9731 0.9948
Li 0.1653 0.8347 0.2883
Sn 0.8334 0.6668 0.2319
Li 0.3333 0.6667 0.6594
Lu 0.5135 0.0269 0.4948
Sn 0.3332 0.1666 0.2319
Lu 0.0000 0.0000 0.5020
Li 0.6667 0.3333 0.1594
Li 0.8347 0.1653 0.7883
Sn 0.6668 0.8334 0.7319
Li 0.6695 0.8347 0.2883
Lu 0.0000 0.0000 0.0020
Lu 0.0269 0.5135 0.9948
Sn 0.1666 0.8334 0.7319
Sn 0.1666 0.3332 0.7319
Li 0.3305 0.1653 0.7883
Sn 0.8334 0.1666 0.2319
Lu 0.4865 0.5135 0.9948
Li 0.1653 0.3305 0.2883
Lu 0.5135 0.4865 0.4948
Sn 0.6667 0.3333 0.7648

**E_form**: -0.601 eV/atom
**Calculated volume**: 22.16 Å³ per atom

=====

(9)
V2P: optimized geometry, GGA-PBE.

abc: 3.2737 6.1839 7.5676
angles: 90.00 90.00 90.00
Sites, in units of the cell vectors:
V 0.2500 0.9601 0.3335
V 0.7500 0.1387 0.0588
P 0.2500 0.2477 0.8578
V 0.2500 0.3613 0.5588
V 0.2500 0.4601 0.1665
V 0.7500 0.0399 0.6665
P 0.2500 0.7477 0.6422
P 0.7500 0.7523 0.1422
V 0.7500 0.5399 0.8335
V 0.2500 0.8613 0.9412
V 0.7500 0.6387 0.4412
P 0.7500 0.2523 0.3578

**E_form**: -0.787 eV/atom
**Calculated volume**: 12.77 Å³ per atom

=====

(10)
Ho2Re2Si2C: optimized geometry, GGA-PBE.

abc: 5.8140 5.8140 6.9117
angles: 55.15 55.15 40.07
Sites, in units of the cell vectors:
Si 0.1417 0.1417 0.3194
Si 0.8583 0.8583 0.6806
Re 0.7924 0.7924 0.0932
Ho 0.5720 0.5720 0.7008
Ho 0.4280 0.4280 0.2992
C 0.0000 0.0000 0.0000
Re 0.2076 0.2076 0.9068

**E_form**: -0.621 eV/atom
**Calculated volume**: 17.05 Å³ per atom

=====

(11)
Nb12InSn3: optimized geometry, GGA-PBE.

abc: 5.3262 5.3629 10.6083
angles: 90.00 90.00 90.00
Sites, in units of the cell vectors:
Nb 0.0000 0.5000 0.3706
Nb 0.7481 0.0000 0.5000
Nb 0.5000 0.2438 0.2511
Nb 0.5000 0.2438 0.7489
Sn 0.0000 0.0000 0.7498
Nb 0.7522 0.0000 0.0000
Sn 0.0000 0.0000 0.2502
Nb 0.2478 0.0000 0.0000
Nb 0.2519 0.0000 0.5000
Nb 0.0000 0.5000 0.1283
In 0.5000 0.5000 0.0000
Nb 0.5000 0.7562 0.7489
Nb 0.0000 0.5000 0.8717
Sn 0.5000 0.5000 0.5000
Nb 0.5000 0.7562 0.2511
Nb 0.0000 0.5000 0.6294

**E_form**: -0.111 eV/atom
**Calculated volume**: 18.94 Å³ per atom

=====

(12)
RbIO2: optimized geometry, GGA-PBE.

abc: 9.6516 9.6516 9.6516
angles: 132.72 132.72 69.09
Sites, in units of the cell vectors:
O 0.0412 0.4085 0.4846
Rb 0.3750 0.1250 0.7500
Rb 0.8750 0.6250 0.2500
O 0.3065 0.2912 0.1327
O 0.9239 0.5565 0.5154
O 0.7088 0.8415 0.0154
I 0.3750 0.1250 0.2500
I 0.8750 0.1250 0.7500
O 0.5915 0.0761 0.6327
O 0.4435 0.9588 0.3673
O 0.1585 0.1739 0.8673
Rb 0.3750 0.6250 0.2500
I 0.8750 0.1250 0.2500
O 0.8261 0.6935 0.9846
I 0.8750 0.6250 0.7500
Rb 0.3750 0.6250 0.7500

**E_form**: -0.629 eV/atom
**Calculated volume**: 29.77 Å³ per atom

=====

(13)
HoTaRu2: optimized geometry, GGA-PBE.

abc: 4.6197 4.6197 4.6197
angles: 60.00 60.00 60.00
Sites, in units of the cell vectors:
Ru 0.7500 0.7500 0.7500
Ta 0.0000 0.0000 0.0000
Ru 0.2500 0.2500 0.2500
Ho 0.5000 0.5000 0.5000

**E_form**: -0.395 eV/atom
**Calculated volume**: 17.43 Å³ per atom

=====

(14)
CsSmCdSe3: optimized geometry, GGA-PBE.

abc: 4.3628 8.4705 11.3859
angles: 90.00 90.00 104.92
Sites, in units of the cell vectors:
Sm 0.0000 0.0000 0.5000
Se 0.0596 0.1192 0.7500
Se 0.3809 0.7619 0.5490
Cd 0.5404 0.0808 0.2500
Sm 0.0000 0.0000 0.0000
Se 0.6191 0.2381 0.4510
Se 0.3809 0.7619 0.9510
Cs 0.7431 0.4863 0.7500
Se 0.9404 0.8808 0.2500
Cd 0.4596 0.9192 0.7500
Se 0.6191 0.2381 0.0490
Cs 0.2569 0.5137 0.2500

**E_form**: -1.597 eV/atom
**Calculated volume**: 33.88 Å³ per atom

=====

(15)
YZn5: optimized geometry, GGA-PBE.

abc: 8.9340 8.9340 9.0333
angles: 90.00 90.00 120.00
Sites, in units of the cell vectors:
Zn 0.5000 0.5000 0.5000
Zn 0.1601 0.8399 0.9090
Zn 0.0000 0.0000 0.0000
Y 0.1908 0.3817 0.2500
Y 0.8092 0.6183 0.7500
Zn 0.0000 0.0000 0.5000
Zn 0.1601 0.3202 0.9090
Zn 0.3202 0.1601 0.0910
Zn 0.6667 0.3333 0.5143
Zn 0.8399 0.1601 0.4090
Zn 0.8399 0.6798 0.0910
Zn 0.5000 0.5000 0.0000
Zn 0.6798 0.8399 0.5910
Zn 0.5000 0.0000 0.5000
Zn 0.1601 0.3202 0.5910
Y 0.8092 0.1908 0.7500
Zn 0.0000 0.5000 0.0000
Zn 0.3333 0.6667 0.0143
Zn 0.8399 0.6798 0.4090
Zn 0.4317 0.5683 0.7500
Zn 0.3202 0.1601 0.4090
Zn 0.5683 0.4317 0.2500
Zn 0.5000 0.0000 0.0000
Zn 0.8635 0.4317 0.2500
Zn 0.5683 0.1365 0.2500
Zn 0.0000 0.5000 0.5000
Y 0.3817 0.1908 0.7500
Zn 0.1601 0.8399 0.5910
Zn 0.4317 0.8635 0.7500
Zn 0.1365 0.5683 0.7500
Zn 0.3333 0.6667 0.4857
Zn 0.6798 0.8399 0.9090
Y 0.6183 0.8092 0.2500
Zn 0.8399 0.1601 0.0910
Y 0.1908 0.8092 0.2500
Zn 0.6667 0.3333 0.9857

**E_form**: -0.285 eV/atom
**Calculated volume**: 17.34 Å³ per atom